First-principles (PBE) data for crystalline K3TlCl6O2 at its relaxed geometry, as listed in the Materials Project database.

Geometry as POSCAR:
```
K3TlCl6O2
1.0
-7.9538 7.9538 9.4158
7.9538 -7.9538 9.4158
7.9538 7.9538 -9.4158
K Tl Cl O
21 7 42 14
Direct
0.5000 0.5000 0.0000
0.2126 0.2126 0.4253
0.7874 0.7874 0.5747
0.2126 0.7874 0.0000
0.7874 0.2126 0.0000
0.8600 0.1475 0.2875
0.8600 0.5725 0.7125
0.1475 0.8600 0.2875
0.5725 0.8600 0.7125
0.1400 0.8525 0.7125
0.1400 0.4275 0.2875
0.8525 0.1400 0.7125
0.4275 0.1400 0.2875
0.6252 0.9052 0.2800
0.6252 0.3452 0.7200
0.9052 0.6252 0.2800
0.3452 0.6252 0.7200
0.3748 0.0948 0.7200
0.3748 0.6548 0.2800
0.0948 0.3748 0.7200
0.6548 0.3748 0.2800
0.0000 0.0000 0.0000
0.0000 0.5000 0.5000
0.5000 0.0000 0.5000
0.0000 0.0000 0.5000
0.5000 0.5000 0.5000
0.0000 0.5000 0.0000
0.5000 0.0000 0.0000
0.8357 0.8357 0.0000
0.1643 0.1643 0.0000
0.1608 0.0000 0.1608
0.8392 0.0000 0.8392
0.0000 0.8392 0.8392
0.0000 0.1608 0.1608
0.8663 0.3663 0.5000
0.3663 0.8663 0.5000
0.1337 0.6337 0.5000
0.6337 0.1337 0.5000
0.3814 0.1207 0.5021
0.6186 0.8793 0.4979
0.3814 0.8793 0.2607
0.6186 0.1207 0.7393
0.1207 0.6186 0.7393
0.8793 0.3814 0.2607
0.1207 0.3814 0.5021
0.8793 0.6186 0.4979
0.8164 0.4707 0.0000
0.4707 0.8164 0.0000
0.8164 0.8164 0.3458
0.4707 0.4707 0.6542
0.1836 0.5293 0.0000
0.5293 0.1836 0.0000
0.1836 0.1836 0.6542
0.5293 0.5293 0.3458
0.0075 0.6818 0.0000
0.6818 0.0075 0.0000
0.0075 0.0075 0.3257
0.6818 0.6818 0.6743
0.9925 0.3182 0.0000
0.3182 0.9925 0.0000
0.9925 0.9925 0.6743
0.3182 0.3182 0.3257
0.1173 0.6173 0.2345
0.3827 0.8827 0.7655
0.1173 0.8827 0.5000
0.3827 0.6173 0.5000
0.6173 0.3827 0.5000
0.8827 0.1173 0.5000
0.6173 0.1173 0.2345
0.8827 0.3827 0.7655
0.6581 0.6581 0.0000
0.3419 0.3419 0.0000
0.6789 0.5000 0.1789
0.3211 0.5000 0.8211
0.5000 0.3211 0.8211
0.5000 0.6789 0.1789
0.7366 0.8362 0.0996
0.7366 0.6370 0.9004
0.8362 0.7366 0.0996
0.6370 0.7366 0.9004
0.2634 0.1638 0.9004
0.2634 0.3630 0.0996
0.1638 0.2634 0.9004
0.3630 0.2634 0.0996
```

E above lowest polymorph: 0.046 eV per atom
magnetization: 0.65 μB per formula unit
density: 2.76 g/cm3
V: 2382.7 Å³ per cell
calculated total energy: -2.988 eV per atom
formation enthalpy at 0 K: -878.9 meV per atom